Entry 1:
Density functional theory data (r2SCAN) for crystalline Yb2Mg at its relaxed geometry.

VASP energy: -25.797 eV per atom
Total moment: 2.04 Bohr magnetons per cell
Calculated formation energy: -0.055 eV per atom
V: 165 Å³/cell

abc: 7.090 7.090 4.977
angles: 90.00 90.00 138.75
Atoms (fractional coordinates):
Mg (0.750, 0.750, 0.750)
Mg (0.250, 0.250, 0.250)
Yb (0.413, 0.088, 0.750)
Yb (0.587, 0.912, 0.250)
Yb (0.088, 0.413, 0.750)
Yb (0.912, 0.587, 0.250)



Entry 2:
Density functional theory data (r2SCAN) for crystalline YbTmRh2 at its relaxed geometry.

VASP energy: -31.040 eV per atom
Total moment: 0.00 Bohr magnetons per cell
Calculated formation energy: -1.059 eV per atom
Space-group type: No. 225
V: 75 Å³/cell

abc: 4.732 4.732 4.732
angles: 60.00 60.00 60.00
Atoms (fractional coordinates):
Yb (0.000, 0.000, 0.000)
Tm (0.500, 0.500, 0.500)
Rh (0.250, 0.250, 0.250)
Rh (0.750, 0.750, 0.750)



Entry 3:
Density functional theory data (r2SCAN) for crystalline In2Bi at its relaxed geometry.

VASP energy: -34.519 eV per atom
Total moment: 0.01 Bohr magnetons per cell
Calculated formation energy: 0.034 eV per atom
Space-group type: No. 194
V: 174 Å³/cell

abc: 5.559 5.559 6.508
angles: 90.00 90.00 120.00
Atoms (fractional coordinates):
In (0.000, 0.000, 0.000)
In (0.000, 0.000, 0.500)
In (0.333, 0.667, 0.250)
In (0.667, 0.333, 0.750)
Bi (0.333, 0.667, 0.750)
Bi (0.667, 0.333, 0.250)



Entry 4:
Density functional theory data (r2SCAN) for crystalline GdTlSe2 at its relaxed geometry.

VASP energy: -32.883 eV per atom
Total moment: 7.00 Bohr magnetons per cell
Calculated formation energy: -1.583 eV per atom
Space-group type: No. 166
V: 119 Å³/cell

abc: 8.100 8.100 8.100
angles: 30.17 30.17 30.17
Atoms (fractional coordinates):
Gd (0.000, 0.000, 0.000)
Tl (0.500, 0.500, 0.500)
Se (0.265, 0.265, 0.265)
Se (0.735, 0.735, 0.735)



Entry 5:
Density functional theory data (r2SCAN) for crystalline GdB2Rh3 at its relaxed geometry.

VASP energy: -22.498 eV per atom
Total moment: 7.04 Bohr magnetons per cell
Calculated formation energy: -0.749 eV per atom
Space-group type: No. 191
V: 79 Å³/cell

abc: 5.399 5.399 3.141
angles: 90.00 90.00 120.00
Atoms (fractional coordinates):
Gd (0.000, 0.000, 0.000)
B (0.333, 0.667, 0.000)
B (0.667, 0.333, 0.000)
Rh (0.000, 0.500, 0.500)
Rh (0.500, 0.000, 0.500)
Rh (0.500, 0.500, 0.500)



Entry 6:
Density functional theory data (r2SCAN) for crystalline Tl2TeO6 at its relaxed geometry.

VASP energy: -19.604 eV per atom
Total moment: 0.00 Bohr magnetons per cell
Calculated formation energy: -0.981 eV per atom
Space-group type: No. 150
V: 363 Å³/cell

abc: 9.138 9.138 5.020
angles: 90.00 90.00 120.00
Atoms (fractional coordinates):
Tl (0.000, 0.286, 0.000)
Tl (0.000, 0.623, 0.500)
Tl (0.286, 0.000, 0.000)
Tl (0.377, 0.377, 0.500)
Tl (0.623, 0.000, 0.500)
Tl (0.714, 0.714, 0.000)
Te (0.000, 0.000, 0.500)
Te (0.333, 0.667, 0.011)
Te (0.667, 0.333, 0.989)
O (0.080, 0.880, 0.285)
O (0.120, 0.200, 0.285)
O (0.135, 0.538, 0.231)
O (0.200, 0.120, 0.715)
O (0.221, 0.755, 0.793)
O (0.245, 0.466, 0.793)
O (0.403, 0.865, 0.231)
O (0.462, 0.597, 0.231)
O (0.466, 0.245, 0.207)
O (0.534, 0.779, 0.793)
O (0.538, 0.135, 0.769)
O (0.597, 0.462, 0.769)
O (0.755, 0.221, 0.207)
O (0.779, 0.534, 0.207)
O (0.800, 0.920, 0.285)
O (0.865, 0.403, 0.769)
O (0.880, 0.080, 0.715)
O (0.920, 0.800, 0.715)



Entry 7:
Density functional theory data (r2SCAN) for crystalline Na2O at its relaxed geometry.

VASP energy: -5.684 eV per atom
Total moment: 0.00 Bohr magnetons per cell
Calculated formation energy: -1.317 eV per atom
Space-group type: No. 150
V: 113 Å³/cell

abc: 6.054 6.054 3.569
angles: 90.00 90.00 120.00
Atoms (fractional coordinates):
Na (0.000, 0.416, 0.000)
Na (0.000, 0.741, 0.500)
Na (0.259, 0.259, 0.500)
Na (0.416, 0.000, 0.000)
Na (0.584, 0.584, 0.000)
Na (0.741, 0.000, 0.500)
O (0.000, 0.000, 0.000)
O (0.333, 0.667, 0.485)
O (0.667, 0.333, 0.515)



Entry 8:
Density functional theory data (r2SCAN) for crystalline Rb2TbF6 at its relaxed geometry.

VASP energy: -11.944 eV per atom
Total moment: 1.98 Bohr magnetons per cell
Calculated formation energy: -3.294 eV per atom
Space-group type: No. 15
V: 307 Å³/cell

abc: 6.844 6.844 7.377
angles: 91.00 91.00 117.30
Atoms (fractional coordinates):
Rb (0.137, 0.824, 0.502)
Rb (0.176, 0.863, 0.998)
Rb (0.824, 0.137, 0.002)
Rb (0.863, 0.176, 0.498)
Tb (0.461, 0.539, 0.250)
Tb (0.539, 0.461, 0.750)
F (0.115, 0.508, 0.230)
F (0.193, 0.194, 0.760)
F (0.194, 0.193, 0.260)
F (0.364, 0.572, 0.545)
F (0.428, 0.636, 0.955)
F (0.492, 0.885, 0.270)
F (0.508, 0.115, 0.730)
F (0.572, 0.364, 0.045)
F (0.636, 0.428, 0.455)
F (0.806, 0.807, 0.740)
F (0.807, 0.806, 0.240)
F (0.885, 0.492, 0.770)



Entry 9:
Density functional theory data (r2SCAN) for crystalline Nd3Ga10Ni at its relaxed geometry.

VASP energy: -15.980 eV per atom
Total moment: 0.00 Bohr magnetons per cell
Calculated formation energy: -0.647 eV per atom
Space-group type: No. 47
V: 273 Å³/cell

abc: 4.240 4.248 15.179
angles: 90.00 90.00 90.00
Atoms (fractional coordinates):
Nd (0.000, 0.000, 0.000)
Nd (0.500, 0.000, 0.251)
Nd (0.500, 0.000, 0.749)
Ga (0.000, 0.000, 0.416)
Ga (0.000, 0.000, 0.584)
Ga (0.000, 0.500, 0.158)
Ga (0.000, 0.500, 0.317)
Ga (0.000, 0.500, 0.683)
Ga (0.000, 0.500, 0.842)
Ga (0.500, 0.500, 0.080)
Ga (0.500, 0.500, 0.416)
Ga (0.500, 0.500, 0.584)
Ga (0.500, 0.500, 0.920)
Ni (0.500, 0.000, 0.500)



Entry 10:
Density functional theory data (r2SCAN) for crystalline LiCrP3O9 at its relaxed geometry.

VASP energy: -9.368 eV per atom
Total moment: 16.00 Bohr magnetons per cell
E above lowest polymorph: 0.0 meV per atom
Calculated formation energy: -2.352 eV per atom
Space-group type: No. 2
V: 696 Å³/cell

abc: 9.412 9.571 9.589
angles: 106.77 105.81 111.64
Atoms (fractional coordinates):
Li (0.147, 0.343, 0.186)
Li (0.152, 0.566, 0.003)
Li (0.848, 0.434, 0.997)
Li (0.853, 0.657, 0.814)
Cr (0.238, 0.732, 0.783)
Cr (0.400, 0.204, 0.282)
Cr (0.600, 0.796, 0.718)
Cr (0.762, 0.268, 0.217)
P (0.016, 0.648, 0.395)
P (0.076, 0.830, 0.201)
P (0.185, 0.079, 0.911)
P (0.309, 0.414, 0.578)
P (0.450, 0.713, 0.344)
P (0.491, 0.111, 0.853)
P (0.509, 0.889, 0.147)
P (0.550, 0.287, 0.656)
P (0.691, 0.586, 0.422)
P (0.815, 0.921, 0.089)
P (0.924, 0.170, 0.799)
P (0.984, 0.352, 0.605)
O (0.008, 0.673, 0.055)
O (0.054, 0.512, 0.751)
O (0.070, 0.124, 0.796)
O (0.111, 0.897, 0.859)
O (0.112, 0.798, 0.358)
O (0.129, 0.673, 0.550)
O (0.136, 0.322, 0.589)
O (0.229, 0.978, 0.235)
O (0.234, 0.192, 0.081)
O (0.282, 0.368, 0.408)
O (0.289, 0.574, 0.207)
O (0.344, 0.755, 0.010)
O (0.346, 0.150, 0.874)
O (0.397, 0.324, 0.653)
O (0.400, 0.594, 0.696)
O (0.445, 0.936, 0.825)
O (0.456, 0.771, 0.507)
O (0.489, 0.128, 0.694)
O (0.511, 0.872, 0.306)
O (0.544, 0.229, 0.493)
O (0.555, 0.064, 0.175)
O (0.600, 0.406, 0.304)
O (0.603, 0.676, 0.347)
O (0.654, 0.850, 0.126)
O (0.656, 0.245, 0.990)
O (0.711, 0.426, 0.793)
O (0.718, 0.632, 0.592)
O (0.766, 0.808, 0.919)
O (0.771, 0.022, 0.765)
O (0.864, 0.678, 0.411)
O (0.871, 0.327, 0.450)
O (0.888, 0.202, 0.642)
O (0.889, 0.103, 0.141)
O (0.930, 0.876, 0.204)
O (0.946, 0.488, 0.249)
O (0.992, 0.327, 0.945)



Entry 11:
Density functional theory data (r2SCAN) for crystalline AcSi3 at its relaxed geometry.

VASP energy: -24.061 eV per atom
Total moment: 0.00 Bohr magnetons per cell
Calculated formation energy: -0.321 eV per atom
Space-group type: No. 194
V: 172 Å³/cell

abc: 6.516 6.516 4.683
angles: 90.00 90.00 120.00
Atoms (fractional coordinates):
Ac (0.333, 0.667, 0.250)
Ac (0.667, 0.333, 0.750)
Si (0.126, 0.252, 0.750)
Si (0.126, 0.874, 0.750)
Si (0.252, 0.126, 0.250)
Si (0.748, 0.874, 0.750)
Si (0.874, 0.126, 0.250)
Si (0.874, 0.748, 0.250)



Entry 12:
Density functional theory data (r2SCAN) for crystalline Ho2Se3O9 at its relaxed geometry.

VASP energy: -13.671 eV per atom
Total moment: 0.00 Bohr magnetons per cell
Calculated formation energy: -2.067 eV per atom
Space-group type: No. 2
V: 420 Å³/cell

abc: 6.979 8.005 8.920
angles: 71.65 70.27 66.14
Atoms (fractional coordinates):
Ho (0.167, 0.272, 0.410)
Ho (0.242, 0.736, 0.797)
Ho (0.758, 0.264, 0.203)
Ho (0.833, 0.728, 0.590)
Se (0.073, 0.224, 0.803)
Se (0.354, 0.248, 0.034)
Se (0.385, 0.759, 0.411)
Se (0.615, 0.241, 0.589)
Se (0.646, 0.752, 0.966)
Se (0.927, 0.776, 0.197)
O (0.018, 0.594, 0.349)
O (0.092, 0.288, 0.149)
O (0.141, 0.057, 0.693)
O (0.151, 0.794, 0.052)
O (0.154, 0.750, 0.561)
O (0.331, 0.435, 0.880)
O (0.343, 0.987, 0.344)
O (0.433, 0.307, 0.168)
O (0.465, 0.296, 0.449)
O (0.535, 0.704, 0.551)
O (0.567, 0.693, 0.832)
O (0.657, 0.013, 0.656)
O (0.669, 0.565, 0.120)
O (0.846, 0.250, 0.439)
O (0.849, 0.206, 0.948)
O (0.859, 0.943, 0.307)
O (0.908, 0.712, 0.851)
O (0.982, 0.406, 0.651)